Entry 1:
# LiMn2F7 | the Materials Project | r2SCAN | relaxed
data_LiMn2F7
_cell_length_a 12.679
_cell_length_b 4.900
_cell_length_c 7.319
_cell_angle_alpha 90.00
_cell_angle_beta 95.32
_cell_angle_gamma 90.00
_space_group_name_H-M_alt 'P 1'
_space_group_IT_number 1
loop_
_space_group_symop_operation_xyz
'x,y,z'
loop_
_atom_site_label
_atom_site_type_symbol
_atom_site_fract_x
_atom_site_fract_y
_atom_site_fract_z
Li1 Li 0.085 0.247 0.328
Li2 Li 0.085 0.253 0.828
Li3 Li 0.915 0.747 0.172
Li4 Li 0.915 0.753 0.672
Mn1 Mn 0.178 0.749 0.647
Mn2 Mn 0.178 0.751 0.147
Mn3 Mn 0.391 0.243 0.220
Mn4 Mn 0.391 0.257 0.720
Mn5 Mn 0.609 0.743 0.280
Mn6 Mn 0.609 0.757 0.780
Mn7 Mn 0.822 0.249 0.853
Mn8 Mn 0.822 0.251 0.353
F1 F 0.050 0.575 0.184
F2 F 0.050 0.925 0.684
F3 F 0.110 0.059 0.062
F4 F 0.110 0.441 0.562
F5 F 0.174 0.582 0.899
F6 F 0.174 0.918 0.399
F7 F 0.249 0.052 0.746
F8 F 0.249 0.448 0.246
F9 F 0.312 0.569 0.634
F10 F 0.312 0.931 0.134
F11 F 0.388 0.129 0.471
F12 F 0.388 0.371 0.971
F13 F 0.472 0.545 0.300
F14 F 0.472 0.955 0.800
F15 F 0.528 0.045 0.200
F16 F 0.528 0.455 0.700
F17 F 0.612 0.629 0.029
F18 F 0.612 0.871 0.529
F19 F 0.688 0.069 0.866
F20 F 0.688 0.431 0.366
F21 F 0.751 0.552 0.754
F22 F 0.751 0.948 0.254
F23 F 0.826 0.082 0.601
F24 F 0.826 0.418 0.101
F25 F 0.890 0.559 0.438
F26 F 0.890 0.941 0.938
F27 F 0.950 0.075 0.316
F28 F 0.950 0.425 0.816
# * electronic total energy: -0.6083 Ry per atom
# * ΔE_f: -29.123 eV/f.u.

Entry 2:
# LiMnF6 | the Materials Project | r2SCAN | relaxed
data_LiMnF6
_cell_length_a 4.820
_cell_length_b 4.826
_cell_length_c 5.129
_cell_angle_alpha 90.10
_cell_angle_beta 118.01
_cell_angle_gamma 119.88
_space_group_name_H-M_alt 'P 1'
_space_group_IT_number 1
loop_
_space_group_symop_operation_xyz
'x,y,z'
loop_
_atom_site_label
_atom_site_type_symbol
_atom_site_fract_x
_atom_site_fract_y
_atom_site_fract_z
Li1 Li 0.000 0.000 0.000
Mn1 Mn 0.000 0.500 0.500
F1 F 0.130 0.399 0.263
F2 F 0.136 0.269 0.737
F3 F 0.467 0.867 0.737
F4 F 0.533 0.133 0.263
F5 F 0.864 0.731 0.263
F6 F 0.870 0.601 0.737
# * electronic total energy: -0.5083 Ry per atom
# * ΔE_f: -19.504 eV/f.u.

Entry 3:
# Li2MnF6 | the Materials Project | r2SCAN | relaxed
data_Li2MnF6
_cell_length_a 4.537
_cell_length_b 4.537
_cell_length_c 8.703
_cell_angle_alpha 90.00
_cell_angle_beta 90.00
_cell_angle_gamma 90.00
_space_group_name_H-M_alt 'P 1'
_space_group_IT_number 1
loop_
_space_group_symop_operation_xyz
'x,y,z'
loop_
_atom_site_label
_atom_site_type_symbol
_atom_site_fract_x
_atom_site_fract_y
_atom_site_fract_z
Li1 Li 0.000 0.000 0.162
Li2 Li 0.000 0.000 0.838
Li3 Li 0.500 0.500 0.338
Li4 Li 0.500 0.500 0.662
Mn1 Mn 0.000 0.000 0.500
Mn2 Mn 0.500 0.500 0.000
F1 F 0.192 0.192 0.347
F2 F 0.192 0.192 0.653
F3 F 0.217 0.217 0.000
F4 F 0.283 0.717 0.500
F5 F 0.308 0.692 0.153
F6 F 0.308 0.692 0.847
F7 F 0.692 0.308 0.153
F8 F 0.692 0.308 0.847
F9 F 0.717 0.283 0.500
F10 F 0.783 0.783 0.000
F11 F 0.808 0.808 0.347
F12 F 0.808 0.808 0.653
# * distance to the lowest polymorph of the same formula: 0 meV per atom
# * electronic total energy: -0.5295 Ry per atom
# * ΔE_f: -26.619 eV/f.u.

Entry 4:
# LiMnF5 | the Materials Project | r2SCAN | relaxed
data_LiMnF5
_cell_length_a 7.184
_cell_length_b 6.226
_cell_length_c 7.994
_cell_angle_alpha 90.00
_cell_angle_beta 116.58
_cell_angle_gamma 90.00
_space_group_name_H-M_alt 'P 1'
_space_group_IT_number 1
loop_
_space_group_symop_operation_xyz
'x,y,z'
loop_
_atom_site_label
_atom_site_type_symbol
_atom_site_fract_x
_atom_site_fract_y
_atom_site_fract_z
Li1 Li 0.250 0.023 0.000
Li2 Li 0.250 0.477 0.500
Li3 Li 0.750 0.523 0.500
Li4 Li 0.750 0.977 0.000
Mn1 Mn 0.000 0.000 0.500
Mn2 Mn 0.000 0.500 0.000
Mn3 Mn 0.500 0.000 0.500
Mn4 Mn 0.500 0.500 0.000
F1 F 0.073 0.223 0.038
F2 F 0.073 0.277 0.538
F3 F 0.107 0.546 0.245
F4 F 0.107 0.954 0.745
F5 F 0.252 0.584 0.004
F6 F 0.252 0.916 0.504
F7 F 0.387 0.549 0.755
F8 F 0.387 0.951 0.255
F9 F 0.426 0.224 0.962
F10 F 0.426 0.276 0.462
F11 F 0.574 0.724 0.538
F12 F 0.574 0.776 0.038
F13 F 0.613 0.049 0.745
F14 F 0.613 0.451 0.245
F15 F 0.748 0.084 0.496
F16 F 0.748 0.416 0.996
F17 F 0.893 0.046 0.255
F18 F 0.893 0.454 0.755
F19 F 0.927 0.723 0.462
F20 F 0.927 0.777 0.962
# * distance to the lowest polymorph of the same formula: 0 meV per atom
# * electronic total energy: -0.5479 Ry per atom
# * ΔE_f: -19.477 eV/f.u.

Entry 5:
# Li2MnF6 | the Materials Project | r2SCAN | relaxed
data_Li2MnF6
_cell_length_a 4.876
_cell_length_b 4.876
_cell_length_c 8.742
_cell_angle_alpha 90.00
_cell_angle_beta 90.00
_cell_angle_gamma 120.00
_space_group_name_H-M_alt 'P 1'
_space_group_IT_number 1
loop_
_space_group_symop_operation_xyz
'x,y,z'
loop_
_atom_site_label
_atom_site_type_symbol
_atom_site_fract_x
_atom_site_fract_y
_atom_site_fract_z
Li1 Li 0.000 0.000 0.000
Li2 Li 0.000 0.000 0.500
Li3 Li 0.333 0.667 0.254
Li4 Li 0.667 0.333 0.746
Mn1 Mn 0.333 0.667 0.750
Mn2 Mn 0.667 0.333 0.250
F1 F 0.024 0.664 0.866
F2 F 0.025 0.359 0.633
F3 F 0.334 0.975 0.633
F4 F 0.336 0.360 0.866
F5 F 0.359 0.334 0.367
F6 F 0.360 0.024 0.134
F7 F 0.640 0.976 0.866
F8 F 0.641 0.666 0.633
F9 F 0.664 0.640 0.134
F10 F 0.666 0.025 0.367
F11 F 0.975 0.641 0.367
F12 F 0.976 0.336 0.134
# * distance to the lowest polymorph of the same formula: 17 meV per atom
# * electronic total energy: -0.5282 Ry per atom
# * ΔE_f: -26.466 eV/f.u.

Entry 6:
# LiMn2F7 | the Materials Project | r2SCAN | relaxed
data_LiMn2F7
_cell_length_a 8.685
_cell_length_b 8.685
_cell_length_c 5.471
_cell_angle_alpha 90.26
_cell_angle_beta 90.26
_cell_angle_gamma 32.96
_space_group_name_H-M_alt 'P 1'
_space_group_IT_number 1
loop_
_space_group_symop_operation_xyz
'x,y,z'
loop_
_atom_site_label
_atom_site_type_symbol
_atom_site_fract_x
_atom_site_fract_y
_atom_site_fract_z
Li1 Li 0.000 0.500 0.000
Li2 Li 0.500 0.000 0.500
Mn1 Mn 0.139 0.651 0.296
Mn2 Mn 0.349 0.861 0.204
Mn3 Mn 0.651 0.139 0.796
Mn4 Mn 0.861 0.349 0.704
F1 F 0.011 0.843 0.582
F2 F 0.110 0.303 0.688
F3 F 0.157 0.989 0.918
F4 F 0.276 0.443 0.008
F5 F 0.303 0.110 0.188
F6 F 0.391 0.609 0.250
F7 F 0.443 0.276 0.508
F8 F 0.557 0.724 0.492
F9 F 0.609 0.391 0.750
F10 F 0.697 0.890 0.812
F11 F 0.724 0.557 0.992
F12 F 0.843 0.011 0.082
F13 F 0.890 0.697 0.312
F14 F 0.989 0.157 0.418
# * electronic total energy: -0.6082 Ry per atom
# * ΔE_f: -29.118 eV/f.u.

Entry 7:
# LiMnF5 | the Materials Project | r2SCAN | relaxed
data_LiMnF5
_cell_length_a 5.377
_cell_length_b 5.516
_cell_length_c 6.972
_cell_angle_alpha 104.75
_cell_angle_beta 101.20
_cell_angle_gamma 109.89
_space_group_name_H-M_alt 'P 1'
_space_group_IT_number 1
loop_
_space_group_symop_operation_xyz
'x,y,z'
loop_
_atom_site_label
_atom_site_type_symbol
_atom_site_fract_x
_atom_site_fract_y
_atom_site_fract_z
Li1 Li 0.199 0.321 0.227
Li2 Li 0.801 0.679 0.773
Mn1 Mn 0.500 0.000 0.000
Mn2 Mn 0.500 0.000 0.500
F1 F 0.143 0.832 0.981
F2 F 0.227 0.663 0.375
F3 F 0.269 0.145 0.414
F4 F 0.386 0.032 0.740
F5 F 0.495 0.324 0.123
F6 F 0.505 0.676 0.877
F7 F 0.614 0.968 0.260
F8 F 0.731 0.855 0.586
F9 F 0.773 0.337 0.625
F10 F 0.857 0.168 0.019
# * distance to the lowest polymorph of the same formula: 2 meV per atom
# * electronic total energy: -0.5477 Ry per atom
# * ΔE_f: -19.460 eV/f.u.

Entry 8:
# LiMn2F6 | the Materials Project | r2SCAN | relaxed
data_LiMn2F6
_cell_length_a 8.623
_cell_length_b 8.623
_cell_length_c 4.623
_cell_angle_alpha 90.00
_cell_angle_beta 90.00
_cell_angle_gamma 120.00
_space_group_name_H-M_alt 'P 1'
_space_group_IT_number 1
loop_
_space_group_symop_operation_xyz
'x,y,z'
loop_
_atom_site_label
_atom_site_type_symbol
_atom_site_fract_x
_atom_site_fract_y
_atom_site_fract_z
Li1 Li 0.000 0.000 0.000
Li2 Li 0.333 0.667 0.505
Li3 Li 0.667 0.333 0.495
Mn1 Mn 0.000 0.316 0.500
Mn2 Mn 0.000 0.651 0.000
Mn3 Mn 0.316 0.000 0.500
Mn4 Mn 0.349 0.349 0.000
Mn5 Mn 0.651 0.000 0.000
Mn6 Mn 0.684 0.684 0.500
F1 F 0.106 0.879 0.771
F2 F 0.107 0.544 0.745
F3 F 0.121 0.227 0.771
F4 F 0.218 0.778 0.277
F5 F 0.222 0.439 0.277
F6 F 0.227 0.121 0.229
F7 F 0.437 0.893 0.745
F8 F 0.439 0.222 0.723
F9 F 0.456 0.563 0.745
F10 F 0.544 0.107 0.255
F11 F 0.561 0.782 0.277
F12 F 0.563 0.456 0.255
F13 F 0.773 0.894 0.771
F14 F 0.778 0.218 0.723
F15 F 0.782 0.561 0.723
F16 F 0.879 0.106 0.229
F17 F 0.893 0.437 0.255
F18 F 0.894 0.773 0.229
# * electronic total energy: -0.6314 Ry per atom
# * ΔE_f: -26.805 eV/f.u.

Entry 9:
# LiNbF6 | the Materials Project | r2SCAN | relaxed
data_LiNbF6
_cell_length_a 5.430
_cell_length_b 5.430
_cell_length_c 5.430
_cell_angle_alpha 56.19
_cell_angle_beta 56.19
_cell_angle_gamma 56.19
_space_group_name_H-M_alt 'P 1'
_space_group_IT_number 1
loop_
_space_group_symop_operation_xyz
'x,y,z'
loop_
_atom_site_label
_atom_site_type_symbol
_atom_site_fract_x
_atom_site_fract_y
_atom_site_fract_z
Li1 Li 0.000 0.000 0.000
Nb1 Nb 0.500 0.500 0.500
F1 F 0.136 0.372 0.747
F2 F 0.253 0.864 0.628
F3 F 0.372 0.747 0.136
F4 F 0.628 0.253 0.864
F5 F 0.747 0.136 0.372
F6 F 0.864 0.628 0.253
# * electronic total energy: -0.6607 Ry per atom
# * ΔE_f: -26.037 eV/f.u.

Entry 10:
# Li2NiF4 | the Materials Project | r2SCAN | relaxed
data_Li2NiF4
_cell_length_a 5.812
_cell_length_b 5.812
_cell_length_c 5.812
_cell_angle_alpha 120.67
_cell_angle_beta 119.01
_cell_angle_gamma 90.29
_space_group_name_H-M_alt 'P 1'
_space_group_IT_number 1
loop_
_space_group_symop_operation_xyz
'x,y,z'
loop_
_atom_site_label
_atom_site_type_symbol
_atom_site_fract_x
_atom_site_fract_y
_atom_site_fract_z
Li1 Li 0.000 0.000 0.500
Li2 Li 0.000 0.500 0.000
Li3 Li 0.385 0.135 0.250
Li4 Li 0.615 0.865 0.750
Ni1 Ni 0.000 0.500 0.500
Ni2 Ni 0.500 0.500 0.000
F1 F 0.224 0.740 0.484
F2 F 0.244 0.260 0.984
F3 F 0.247 0.259 0.512
F4 F 0.247 0.734 0.988
F5 F 0.753 0.266 0.012
F6 F 0.753 0.741 0.488
F7 F 0.756 0.740 0.016
F8 F 0.776 0.260 0.516
# * electronic total energy: -0.5116 Ry per atom
# * ΔE_f: -19.461 eV/f.u.

Entry 11:
# Li8NiO4F2 | the Materials Project | r2SCAN | relaxed
data_Li8NiO4F2
_cell_length_a 5.182
_cell_length_b 5.440
_cell_length_c 10.515
_cell_angle_alpha 76.84
_cell_angle_beta 79.77
_cell_angle_gamma 64.00
_space_group_name_H-M_alt 'P 1'
_space_group_IT_number 1
loop_
_space_group_symop_operation_xyz
'x,y,z'
loop_
_atom_site_label
_atom_site_type_symbol
_atom_site_fract_x
_atom_site_fract_y
_atom_site_fract_z
Li1 Li 0.018 0.264 0.326
Li2 Li 0.074 0.970 0.154
Li3 Li 0.250 0.339 0.818
Li4 Li 0.253 0.642 0.971
Li5 Li 0.335 0.048 0.673
Li6 Li 0.370 0.616 0.312
Li7 Li 0.382 0.332 0.182
Li8 Li 0.414 0.739 0.514
Li9 Li 0.586 0.261 0.486
Li10 Li 0.618 0.668 0.818
Li11 Li 0.630 0.384 0.688
Li12 Li 0.665 0.952 0.327
Li13 Li 0.747 0.358 0.029
Li14 Li 0.750 0.661 0.182
Li15 Li 0.926 0.030 0.846
Li16 Li 0.982 0.736 0.674
Ni1 Ni 0.000 0.500 0.500
Ni2 Ni 0.500 0.000 0.000
O1 O 0.293 0.431 0.617
O2 O 0.297 0.976 0.871
O3 O 0.326 0.282 0.377
O4 O 0.431 0.678 0.113
O5 O 0.569 0.322 0.887
O6 O 0.674 0.718 0.623
O7 O 0.703 0.024 0.129
O8 O 0.707 0.569 0.383
F1 F 0.033 0.926 0.344
F2 F 0.042 0.346 0.137
F3 F 0.958 0.654 0.863
F4 F 0.967 0.074 0.656
# * electronic total energy: -0.4565 Ry per atom
# * ΔE_f: -31.939 eV/f.u.

Entry 12:
# Li5Ni3O5F3 | the Materials Project | r2SCAN | relaxed
data_Li5Ni3O5F3
_cell_length_a 5.531
_cell_length_b 5.673
_cell_length_c 5.909
_cell_angle_alpha 118.24
_cell_angle_beta 117.87
_cell_angle_gamma 90.46
_space_group_name_H-M_alt 'P 1'
_space_group_IT_number 1
loop_
_space_group_symop_operation_xyz
'x,y,z'
loop_
_atom_site_label
_atom_site_type_symbol
_atom_site_fract_x
_atom_site_fract_y
_atom_site_fract_z
Li1 Li 0.000 0.000 0.000
Li2 Li 0.003 0.993 0.498
Li3 Li 0.010 0.510 0.506
Li4 Li 0.484 0.986 0.971
Li5 Li 0.492 0.503 0.495
Ni1 Ni 0.012 0.512 0.026
Ni2 Ni 0.495 0.994 0.501
Ni3 Ni 0.499 0.499 0.998
O1 O 0.245 0.745 0.491
O2 O 0.255 0.286 0.998
O3 O 0.272 0.742 0.033
O4 O 0.726 0.257 0.961
O5 O 0.744 0.715 0.003
F1 F 0.211 0.222 0.432
F2 F 0.743 0.245 0.476
F3 F 0.789 0.778 0.568
# * electronic total energy: -0.5488 Ry per atom
# * ΔE_f: -32.352 eV/f.u.